one:
! Na3V3H6O7 (PBE with a Hubbard U, relaxed); values from VASP
&SYSTEM
  ibrav = 0, nat = 19, ntyp = 4
/
ATOMIC_SPECIES
Na 22.99 Na.upf
V 50.94 V.upf
H 1.01 H.upf
O 16.00 O.upf
ATOMIC_POSITIONS crystal
Na 0.000 0.000 0.000
Na 0.176 0.644 0.962
Na 0.708 0.628 0.319
V 0.499 0.513 0.933
V 0.833 0.683 0.823
V 0.834 0.577 0.067
H 0.468 0.746 0.377
H 0.514 0.765 0.080
H 0.557 0.801 0.264
H 0.695 0.902 0.140
H 0.916 0.852 0.197
H 0.956 0.029 0.257
O 0.390 0.600 0.992
O 0.561 0.752 0.344
O 0.576 0.863 0.139
O 0.702 0.507 0.907
O 0.896 0.697 0.206
O 0.922 0.966 0.180
O 0.925 0.884 0.818
CELL_PARAMETERS angstrom
9.200 0.000 0.000
-4.216 8.551 0.000
-1.813 -1.248 11.152
! **Crystal system**: triclinic

---

two:
! Na3V3H6O7 (PBE with a Hubbard U, relaxed); values from VASP
&SYSTEM
  ibrav = 0, nat = 19, ntyp = 4
/
ATOMIC_SPECIES
Na 22.99 Na.upf
V 50.94 V.upf
H 1.01 H.upf
O 16.00 O.upf
ATOMIC_POSITIONS crystal
Na 0.000 0.000 0.000
Na 0.154 0.407 0.133
Na 0.401 0.534 0.562
V 0.388 0.634 0.878
V 0.565 0.673 0.143
V 0.892 0.573 0.882
H 0.293 0.550 0.326
H 0.387 0.309 0.351
H 0.598 0.194 0.118
H 0.715 0.194 0.390
H 0.761 0.284 0.149
H 0.826 0.314 0.432
O 0.199 0.539 0.844
O 0.250 0.425 0.355
O 0.389 0.724 0.317
O 0.559 0.754 0.921
O 0.712 0.152 0.179
O 0.717 0.258 0.475
O 0.831 0.444 0.116
CELL_PARAMETERS angstrom
7.007 0.000 0.000
3.007 6.582 0.000
2.091 1.220 8.602
! **Crystal system**: triclinic

---

Most stable to least stable, the ends of the list are two and one.

---

one:
! LiV6O11F (PBE with a Hubbard U, relaxed); values from VASP
&SYSTEM
  ibrav = 0, nat = 19, ntyp = 4
/
ATOMIC_SPECIES
Li 6.94 Li.upf
V 50.94 V.upf
O 16.00 O.upf
F 19.00 F.upf
ATOMIC_POSITIONS crystal
Li 0.000 0.000 0.000
V 0.274 0.274 0.394
V 0.309 0.309 0.713
V 0.311 0.311 0.044
V 0.712 0.712 0.545
V 0.716 0.716 0.881
V 0.867 0.867 0.231
O 0.095 0.095 0.214
O 0.132 0.132 0.535
O 0.158 0.158 0.876
O 0.483 0.483 0.543
O 0.495 0.495 0.887
O 0.591 0.962 0.714
O 0.602 0.979 0.384
O 0.627 0.995 0.051
O 0.962 0.591 0.714
O 0.979 0.602 0.384
O 0.995 0.627 0.051
F 0.459 0.459 0.232
CELL_PARAMETERS angstrom
3.952 -3.204 0.000
3.952 3.204 0.000
-0.312 0.000 8.732
! **Crystal system**: monoclinic

---

two:
! LiV6O11F (PBE with a Hubbard U, relaxed); values from VASP
&SYSTEM
  ibrav = 0, nat = 19, ntyp = 4
/
ATOMIC_SPECIES
Li 6.94 Li.upf
V 50.94 V.upf
O 16.00 O.upf
F 19.00 F.upf
ATOMIC_POSITIONS crystal
Li 0.000 0.000 0.000
V 0.002 0.510 0.745
V 0.013 0.521 0.392
V 0.457 0.965 0.571
V 0.506 0.015 0.899
V 0.520 0.027 0.245
V 0.995 0.501 0.078
O 0.191 0.700 0.567
O 0.193 0.704 0.911
O 0.197 0.705 0.252
O 0.296 0.190 0.077
O 0.297 0.193 0.736
O 0.298 0.198 0.407
O 0.685 0.806 0.736
O 0.689 0.805 0.407
O 0.693 0.810 0.076
O 0.786 0.290 0.911
O 0.796 0.300 0.246
F 0.802 0.311 0.568
CELL_PARAMETERS angstrom
4.683 0.000 0.000
0.139 4.714 0.000
0.035 0.028 8.999
! **Crystal system**: triclinic

---

Most stable to least stable, the ends of the list are two and one.

---

one:
The following is a DFT calculation (PBE with a Hubbard U) of Li3FeP2O8 after structural relaxation. Values from VASP.

The structure in Quantum ESPRESSO input format:
```
&SYSTEM
  ibrav = 0, nat = 56, ntyp = 4
/
ATOMIC_SPECIES
Fe 55.84 Fe.upf
O 16.00 O.upf
P 30.97 P.upf
Li 6.94 Li.upf
ATOMIC_POSITIONS crystal
Fe 0.500 0.001 0.499
Fe 0.249 0.501 0.750
Fe 0.000 0.001 0.999
Fe 0.749 0.501 0.250
O 0.305 0.916 0.355
O 0.063 0.469 0.378
O 0.666 0.868 0.607
O 0.359 0.416 0.607
O 0.139 0.586 0.893
O 0.017 0.711 0.483
O 0.695 0.086 0.642
O 0.195 0.086 0.142
O 0.982 0.291 0.516
O 0.936 0.533 0.622
O 0.639 0.586 0.393
O 0.517 0.711 0.983
O 0.166 0.868 0.107
O 0.154 0.969 0.626
O 0.805 0.916 0.855
O 0.950 0.368 0.858
O 0.549 0.634 0.642
O 0.482 0.291 0.016
O 0.563 0.469 0.878
O 0.655 0.969 0.126
O 0.450 0.368 0.358
O 0.345 0.032 0.871
O 0.436 0.533 0.122
O 0.845 0.032 0.371
O 0.058 0.791 0.765
O 0.859 0.416 0.107
O 0.558 0.791 0.265
O 0.941 0.211 0.233
O 0.833 0.134 0.891
O 0.333 0.134 0.391
O 0.049 0.634 0.142
O 0.441 0.211 0.733
P 0.075 0.116 0.284
P 0.210 0.386 0.465
P 0.789 0.616 0.535
P 0.575 0.116 0.784
P 0.424 0.886 0.214
P 0.710 0.386 0.965
P 0.289 0.616 0.035
P 0.924 0.886 0.714
Li 0.389 0.844 0.910
Li 0.327 0.751 0.624
Li 0.889 0.844 0.410
Li 0.110 0.158 0.588
Li 0.172 0.251 0.874
Li 0.796 0.658 0.838
Li 0.702 0.344 0.660
Li 0.827 0.751 0.124
Li 0.610 0.158 0.088
Li 0.672 0.251 0.374
Li 0.202 0.344 0.160
Li 0.296 0.658 0.339
CELL_PARAMETERS angstrom
-2.092 -4.033 1.221
-0.103 6.481 12.173
-8.157 4.114 -0.381
```

---

two:
The following is a DFT calculation (PBE with a Hubbard U) of Li3FeP2O8 after structural relaxation. Values from VASP.

The structure in Quantum ESPRESSO input format:
```
&SYSTEM
  ibrav = 0, nat = 56, ntyp = 4
/
ATOMIC_SPECIES
O 16.00 O.upf
Li 6.94 Li.upf
Fe 55.84 Fe.upf
P 30.97 P.upf
ATOMIC_POSITIONS crystal
O 0.446 0.195 0.047
O 0.980 0.938 0.830
O 0.480 0.438 0.830
O 0.827 0.576 0.883
O 0.688 0.229 0.829
O 0.674 0.923 0.117
O 0.812 0.270 0.170
O 0.542 0.004 0.660
O 0.246 0.208 0.340
O 0.750 0.000 0.449
O 0.251 0.000 0.551
O 0.042 0.504 0.660
O 0.174 0.423 0.117
O 0.521 0.562 0.171
O 0.188 0.729 0.829
O 0.754 0.792 0.660
O 0.250 0.500 0.449
O 0.312 0.770 0.170
O 0.555 0.804 0.953
O 0.327 0.076 0.883
O 0.458 0.707 0.588
O 0.946 0.695 0.047
O 0.751 0.500 0.551
O 0.958 0.207 0.588
O 0.021 0.062 0.171
O 0.458 0.996 0.340
O 0.543 0.292 0.412
O 0.746 0.708 0.340
O 0.958 0.496 0.340
O 0.043 0.792 0.412
O 0.055 0.304 0.953
O 0.254 0.292 0.660
Li 0.500 0.501 0.498
Li 0.000 0.001 0.498
Li 0.749 0.250 0.502
Li 0.265 0.012 0.230
Li 0.142 0.893 0.064
Li 0.765 0.512 0.230
Li 0.249 0.750 0.502
Li 0.238 0.485 0.770
Li 0.642 0.393 0.064
Li 0.857 0.108 0.936
Li 0.738 0.985 0.770
Li 0.357 0.608 0.936
Fe 0.227 0.477 0.274
Fe 0.773 0.523 0.726
Fe 0.727 0.977 0.274
Fe 0.273 0.022 0.726
P 0.615 0.865 0.589
P 0.978 0.727 0.903
P 0.478 0.227 0.903
P 0.115 0.365 0.589
P 0.385 0.135 0.411
P 0.885 0.635 0.411
P 0.523 0.773 0.097
P 0.023 0.273 0.097
CELL_PARAMETERS angstrom
-0.027 5.821 -4.796
-0.027 -5.822 -4.797
-10.294 0.000 -4.553
```

---

Most stable to least stable, the ends of the list are two and one.

---

one:
! LiTiV2CrO10 (PBE with a Hubbard U, relaxed); values from VASP
&SYSTEM
  ibrav = 0, nat = 15, ntyp = 5
/
ATOMIC_SPECIES
Li 6.94 Li.upf
Ti 47.87 Ti.upf
V 50.94 V.upf
Cr 52.00 Cr.upf
O 16.00 O.upf
ATOMIC_POSITIONS crystal
Li 0.000 0.000 0.000
Ti 0.500 0.500 0.500
V 0.000 0.500 0.610
V 0.500 0.000 0.390
Cr 0.000 0.000 0.500
O 0.000 0.205 0.704
O 0.000 0.500 0.303
O 0.000 0.795 0.704
O 0.205 0.000 0.296
O 0.270 0.500 0.699
O 0.500 0.000 0.697
O 0.500 0.270 0.301
O 0.500 0.730 0.301
O 0.730 0.500 0.699
O 0.795 0.000 0.296
CELL_PARAMETERS angstrom
6.561 0.000 0.000
0.000 6.561 0.000
0.000 0.000 5.281
! **Crystal system**: tetragonal

---

two:
! LiTiV2CrO10 (PBE with a Hubbard U, relaxed); values from VASP
&SYSTEM
  ibrav = 0, nat = 15, ntyp = 5
/
ATOMIC_SPECIES
Li 6.94 Li.upf
Ti 47.87 Ti.upf
V 50.94 V.upf
Cr 52.00 Cr.upf
O 16.00 O.upf
ATOMIC_POSITIONS crystal
Li 0.000 0.000 0.000
Ti 0.000 0.000 0.500
V 0.000 0.500 0.372
V 0.500 0.000 0.628
Cr 0.500 0.500 0.500
O 0.000 0.216 0.280
O 0.000 0.500 0.673
O 0.000 0.784 0.280
O 0.216 0.000 0.720
O 0.290 0.500 0.306
O 0.500 0.000 0.327
O 0.500 0.290 0.694
O 0.500 0.710 0.694
O 0.710 0.500 0.306
O 0.784 0.000 0.720
CELL_PARAMETERS angstrom
6.484 0.000 0.000
0.000 6.484 0.000
0.000 0.000 5.372
! **Crystal system**: tetragonal

---

Most stable to least stable, the ends of the list are one and two.

---

one:
! Li3Mn2P3O12 (PBE with a Hubbard U, relaxed); values from VASP
&SYSTEM
  ibrav = 0, nat = 40, ntyp = 4
/
ATOMIC_SPECIES
Li 6.94 Li.upf
Mn 54.94 Mn.upf
P 30.97 P.upf
O 16.00 O.upf
ATOMIC_POSITIONS crystal
Li 0.000 0.000 0.000
Li 0.106 0.497 0.103
Li 0.359 0.143 0.277
Li 0.503 0.894 0.897
Li 0.678 0.322 0.500
Li 0.857 0.641 0.723
Mn 0.202 0.011 0.393
Mn 0.496 0.298 0.102
Mn 0.702 0.504 0.898
Mn 0.989 0.798 0.607
P 0.097 0.198 0.795
P 0.300 0.700 0.000
P 0.379 0.621 0.500
P 0.599 0.104 0.695
P 0.802 0.903 0.205
P 0.896 0.401 0.305
O 0.053 0.042 0.791
O 0.080 0.224 0.305
O 0.107 0.721 0.847
O 0.131 0.160 0.623
O 0.218 0.656 0.558
O 0.265 0.223 0.980
O 0.279 0.893 0.153
O 0.334 0.539 0.060
O 0.344 0.782 0.442
O 0.397 0.428 0.344
O 0.446 0.085 0.508
O 0.461 0.666 0.940
O 0.548 0.126 0.853
O 0.572 0.603 0.656
O 0.606 0.065 0.179
O 0.652 0.272 0.729
O 0.728 0.348 0.271
O 0.776 0.920 0.695
O 0.777 0.735 0.020
O 0.840 0.869 0.377
O 0.874 0.452 0.147
O 0.915 0.554 0.492
O 0.935 0.394 0.821
O 0.958 0.947 0.209
CELL_PARAMETERS angstrom
7.357 -4.380 0.000
7.357 4.380 0.000
-4.792 0.000 7.275
! **Crystal system**: monoclinic

---

two:
! Li3Mn2P3O12 (PBE with a Hubbard U, relaxed); values from VASP
&SYSTEM
  ibrav = 0, nat = 80, ntyp = 4
/
ATOMIC_SPECIES
Li 6.94 Li.upf
Mn 54.94 Mn.upf
P 30.97 P.upf
O 16.00 O.upf
ATOMIC_POSITIONS crystal
Li 0.125 0.250 0.375
Li 0.125 0.375 0.750
Li 0.250 0.375 0.125
Li 0.250 0.875 0.625
Li 0.375 0.125 0.250
Li 0.375 0.750 0.125
Li 0.625 0.250 0.875
Li 0.625 0.875 0.750
Li 0.750 0.125 0.375
Li 0.750 0.625 0.875
Li 0.875 0.625 0.250
Li 0.875 0.750 0.625
Mn 0.000 0.000 0.000
Mn 0.000 0.000 0.500
Mn 0.000 0.500 0.000
Mn 0.000 0.500 0.500
Mn 0.500 0.000 0.000
Mn 0.500 0.000 0.500
Mn 0.500 0.500 0.000
Mn 0.500 0.500 0.500
P 0.125 0.750 0.875
P 0.125 0.875 0.250
P 0.250 0.125 0.875
P 0.250 0.625 0.375
P 0.375 0.250 0.625
P 0.375 0.625 0.750
P 0.625 0.375 0.250
P 0.625 0.750 0.375
P 0.750 0.375 0.625
P 0.750 0.875 0.125
P 0.875 0.125 0.750
P 0.875 0.250 0.125
O 0.007 0.210 0.118
O 0.007 0.298 0.889
O 0.092 0.710 0.702
O 0.092 0.882 0.389
O 0.111 0.618 0.408
O 0.111 0.993 0.702
O 0.118 0.007 0.210
O 0.118 0.611 0.908
O 0.202 0.210 0.592
O 0.202 0.493 0.611
O 0.210 0.118 0.007
O 0.210 0.592 0.202
O 0.290 0.298 0.908
O 0.290 0.493 0.382
O 0.298 0.889 0.007
O 0.298 0.908 0.290
O 0.382 0.290 0.493
O 0.382 0.592 0.889
O 0.389 0.092 0.882
O 0.389 0.798 0.507
O 0.408 0.111 0.618
O 0.408 0.798 0.790
O 0.493 0.382 0.290
O 0.493 0.611 0.202
O 0.507 0.389 0.798
O 0.507 0.618 0.710
O 0.592 0.202 0.210
O 0.592 0.889 0.382
O 0.611 0.202 0.493
O 0.611 0.908 0.118
O 0.618 0.408 0.111
O 0.618 0.710 0.507
O 0.702 0.092 0.710
O 0.702 0.111 0.993
O 0.710 0.507 0.618
O 0.710 0.702 0.092
O 0.790 0.408 0.798
O 0.790 0.882 0.993
O 0.798 0.507 0.389
O 0.798 0.790 0.408
O 0.882 0.389 0.092
O 0.882 0.993 0.790
O 0.889 0.007 0.298
O 0.889 0.382 0.592
O 0.908 0.118 0.611
O 0.908 0.290 0.298
O 0.993 0.702 0.111
O 0.993 0.790 0.882
CELL_PARAMETERS angstrom
-5.920 5.920 5.920
5.920 -5.920 5.920
5.920 5.920 -5.920
! **Crystal system**: cubic

---

Most stable to least stable, the ends of the list are one and two.